1.
# LuMgSe3

Crystalline LuMgSe3 at its relaxed geometry (PBE-GGA, Materials Project).

The structure in POSCAR format:
```
LuMgSe3
1.0
-4.914 -5.304 3.592
2.650 -8.171 -8.442
7.136 1.325 0.958
Se Lu Mg
12 4 4
Direct
0.741 0.154 0.776 Se
0.741 0.846 0.776 Se
0.759 0.346 0.224 Se
0.290 0.000 0.711 Se
0.259 0.846 0.224 Se
0.710 0.000 0.289 Se
0.790 0.500 0.711 Se
0.259 0.154 0.224 Se
0.241 0.654 0.776 Se
0.210 0.500 0.289 Se
0.759 0.654 0.224 Se
0.241 0.346 0.776 Se
0.510 0.500 0.228 Lu
0.990 0.000 0.772 Lu
0.490 0.500 0.772 Lu
0.010 0.000 0.228 Lu
0.500 0.828 0.000 Mg
0.500 0.172 0.000 Mg
0.000 0.328 0.000 Mg
0.000 0.672 0.000 Mg
```

## Properties
relative energy among the computed polymorphs = 0.00 eV per formula unit

2.
# NdH32C8N4Cl7

Crystalline NdH32C8N4Cl7 at its relaxed geometry (PBE-GGA, Materials Project).

The structure in POSCAR format:
```
NdH32C8N4Cl7
1.0
8.846 0.000 0.000
0.000 10.572 0.000
0.000 0.000 13.620
H Cl N C Nd
64 14 8 16 2
Direct
0.458 0.659 0.264 H
0.818 0.515 0.862 H
0.458 0.177 0.558 H
0.542 0.677 0.942 H
0.617 0.578 0.408 H
0.733 0.367 0.831 H
0.542 0.323 0.058 H
0.705 0.731 0.412 H
0.617 0.422 0.592 H
0.661 0.293 0.216 H
0.035 0.104 0.244 H
0.035 0.896 0.756 H
0.542 0.841 0.764 H
0.661 0.707 0.784 H
0.965 0.604 0.256 H
0.098 0.465 0.141 H
0.623 0.178 0.067 H
0.792 0.904 0.684 H
0.874 0.899 0.564 H
0.982 0.725 0.178 H
0.542 0.159 0.236 H
0.458 0.341 0.736 H
0.295 0.769 0.912 H
0.168 0.883 0.556 H
0.792 0.096 0.316 H
0.902 0.965 0.359 H
0.339 0.793 0.284 H
0.614 0.331 0.481 H
0.377 0.322 0.567 H
0.538 0.814 0.274 H
0.182 0.985 0.362 H
0.902 0.035 0.641 H
0.705 0.269 0.588 H
0.267 0.133 0.331 H
0.208 0.404 0.816 H
0.733 0.633 0.169 H
0.458 0.823 0.442 H
0.982 0.275 0.822 H
0.168 0.117 0.444 H
0.339 0.207 0.716 H
0.383 0.922 0.908 H
0.018 0.225 0.322 H
0.832 0.617 0.056 H
0.267 0.867 0.669 H
0.832 0.383 0.944 H
0.126 0.601 0.064 H
0.295 0.231 0.088 H
0.614 0.669 0.519 H
0.818 0.485 0.138 H
0.965 0.396 0.744 H
0.018 0.775 0.678 H
0.377 0.678 0.433 H
0.386 0.831 0.019 H
0.386 0.169 0.981 H
0.208 0.596 0.184 H
0.126 0.399 0.936 H
0.182 0.015 0.638 H
0.623 0.822 0.933 H
0.462 0.686 0.774 H
0.538 0.186 0.726 H
0.874 0.101 0.436 H
0.383 0.078 0.092 H
0.462 0.314 0.226 H
0.098 0.535 0.859 H
0.302 0.421 0.380 Cl
0.128 0.912 0.143 Cl
0.061 0.732 0.406 Cl
0.485 0.500 0.000 Cl
0.128 0.088 0.857 Cl
0.939 0.232 0.094 Cl
0.515 0.000 0.500 Cl
0.061 0.268 0.594 Cl
0.698 0.079 0.880 Cl
0.872 0.412 0.357 Cl
0.302 0.579 0.620 Cl
0.939 0.768 0.906 Cl
0.698 0.921 0.120 Cl
0.872 0.588 0.643 Cl
0.465 0.267 0.592 N
0.535 0.767 0.908 N
0.465 0.733 0.408 N
0.971 0.627 0.182 N
0.971 0.373 0.818 N
0.029 0.127 0.318 N
0.029 0.873 0.682 N
0.535 0.233 0.092 N
0.111 0.432 0.861 C
0.610 0.673 0.439 C
0.390 0.827 0.939 C
0.828 0.413 0.868 C
0.889 0.932 0.639 C
0.450 0.249 0.700 C
0.111 0.568 0.139 C
0.828 0.587 0.132 C
0.172 0.087 0.368 C
0.610 0.327 0.561 C
0.889 0.068 0.361 C
0.550 0.251 0.200 C
0.550 0.749 0.800 C
0.450 0.751 0.300 C
0.390 0.173 0.061 C
0.172 0.913 0.632 C
0.930 0.000 0.000 Nd
0.070 0.500 0.500 Nd
```

## Properties
space group = No. 18
total magnetization = 0.00 Bohr magnetons per cell

3.
# Na4HfGaSi2PO12

Crystalline Na4HfGaSi2PO12 at its relaxed geometry (PBE-GGA, Materials Project).

The structure in POSCAR format:
```
Na4HfGaSi2PO12
1.0
-4.939 6.389 4.046
-4.047 -5.920 -5.492
-3.490 -13.913 17.178
Si O Na P Hf Ga
12 72 24 6 6 6
Direct
0.044 0.672 0.418 Si
0.708 0.704 0.250 Si
0.041 0.371 0.917 Si
0.374 0.037 0.584 Si
0.629 0.959 0.417 Si
0.963 0.626 0.084 Si
0.296 0.292 0.750 Si
0.662 0.623 0.584 Si
0.328 0.956 0.918 Si
0.377 0.338 0.084 Si
0.995 0.290 0.251 Si
0.710 0.005 0.751 Si
0.496 0.121 0.642 O
0.852 0.355 0.922 O
0.696 0.179 0.744 O
0.830 0.034 0.810 O
0.521 0.834 0.756 O
0.308 0.839 0.256 O
0.161 0.692 0.756 O
0.641 0.506 0.923 O
0.820 0.980 0.412 O
0.841 0.529 0.744 O
0.486 0.314 0.745 O
0.829 0.788 0.309 O
0.174 0.196 0.411 O
0.854 0.501 0.422 O
0.353 0.847 0.578 O
0.839 0.541 0.025 O
0.471 0.159 0.244 O
0.365 0.489 0.362 O
0.153 0.647 0.078 O
0.362 0.512 0.077 O
0.166 0.479 0.256 O
0.029 0.845 0.410 O
0.178 0.968 0.195 O
0.821 0.304 0.244 O
0.845 0.302 0.529 O
0.702 0.541 0.526 O
0.828 0.025 0.089 O
0.975 0.172 0.589 O
0.185 0.022 0.589 O
0.369 0.875 0.859 O
0.299 0.456 0.473 O
0.506 0.874 0.359 O
0.544 0.701 0.973 O
0.632 0.123 0.140 O
0.020 0.180 0.912 O
0.508 0.863 0.078 O
0.686 0.514 0.245 O
0.494 0.359 0.423 O
0.645 0.148 0.422 O
0.212 0.171 0.809 O
0.499 0.146 0.922 O
0.211 0.035 0.307 O
0.511 0.635 0.862 O
0.833 0.813 0.589 O
0.546 0.837 0.475 O
0.125 0.631 0.359 O
0.173 0.208 0.692 O
0.126 0.494 0.859 O
0.311 0.481 0.756 O
0.137 0.492 0.578 O
0.965 0.789 0.807 O
0.035 0.208 0.192 O
0.032 0.822 0.695 O
0.187 0.167 0.089 O
0.879 0.504 0.142 O
0.698 0.155 0.029 O
0.459 0.298 0.026 O
0.633 0.503 0.643 O
0.978 0.815 0.089 O
0.488 0.638 0.577 O
0.163 0.454 0.975 O
0.519 0.689 0.256 O
0.497 0.367 0.143 O
0.877 0.368 0.640 O
0.459 0.161 0.525 O
0.966 0.170 0.310 O
0.300 0.837 0.976 O
0.163 0.700 0.476 O
0.155 0.971 0.910 O
0.792 0.965 0.692 O
0.792 0.827 0.192 O
0.804 0.826 0.911 O
0.037 0.700 0.580 Na
0.657 0.960 0.583 Na
0.324 0.293 0.916 Na
0.998 0.994 0.497 Na
0.661 0.694 0.083 Na
0.370 0.366 0.247 Na
0.640 0.006 0.250 Na
0.374 0.009 0.750 Na
0.006 0.002 0.997 Na
0.703 0.033 0.913 Na
0.040 0.343 0.083 Na
0.973 0.672 0.917 Na
0.994 0.360 0.750 Na
0.300 0.963 0.080 Na
0.331 0.661 0.164 Na
0.306 0.339 0.583 Na
0.665 0.328 0.830 Na
0.991 0.626 0.250 Na
0.339 0.669 0.664 Na
0.967 0.297 0.413 Na
0.707 0.676 0.416 Na
0.634 0.630 0.747 Na
0.672 0.335 0.330 Na
0.328 0.027 0.417 Na
0.293 0.004 0.252 P
0.960 0.337 0.585 P
0.329 0.374 0.419 P
0.626 0.671 0.919 P
0.663 0.040 0.085 P
0.996 0.707 0.752 P
0.998 0.000 0.648 Hf
0.332 0.666 0.315 Hf
0.000 0.002 0.148 Hf
0.334 0.668 0.815 Hf
0.667 0.335 0.482 Hf
0.665 0.333 0.982 Hf
0.011 0.016 0.850 Ga
0.650 0.322 0.683 Ga
0.344 0.683 0.517 Ga
0.678 0.350 0.183 Ga
0.984 0.989 0.350 Ga
0.317 0.656 0.017 Ga
```

## Properties
total magnetization = 0.00 Bohr magnetons per cell

4.
# Dy2Nb3Ge4

Crystalline Dy2Nb3Ge4 at its relaxed geometry (PBE-GGA, Materials Project).

The structure in POSCAR format:
```
Dy2Nb3Ge4
1.0
7.025 0.000 0.000
0.000 7.198 0.000
0.000 0.000 13.622
Dy Nb Ge
8 12 16
Direct
0.002 0.826 0.905 Dy
0.998 0.174 0.095 Dy
0.002 0.826 0.595 Dy
0.498 0.326 0.095 Dy
0.998 0.174 0.405 Dy
0.502 0.674 0.595 Dy
0.498 0.326 0.405 Dy
0.502 0.674 0.905 Dy
0.160 0.672 0.373 Nb
0.340 0.172 0.873 Nb
0.664 0.012 0.750 Nb
0.660 0.828 0.373 Nb
0.340 0.172 0.627 Nb
0.336 0.988 0.250 Nb
0.160 0.672 0.127 Nb
0.164 0.488 0.750 Nb
0.660 0.828 0.127 Nb
0.840 0.328 0.627 Nb
0.840 0.328 0.873 Nb
0.836 0.512 0.250 Nb
0.173 0.461 0.958 Ge
0.173 0.461 0.542 Ge
0.827 0.539 0.042 Ge
0.540 0.378 0.750 Ge
0.327 0.961 0.458 Ge
0.827 0.539 0.458 Ge
0.327 0.961 0.042 Ge
0.460 0.622 0.250 Ge
0.304 0.862 0.750 Ge
0.040 0.122 0.750 Ge
0.960 0.878 0.250 Ge
0.196 0.362 0.250 Ge
0.804 0.638 0.750 Ge
0.673 0.039 0.958 Ge
0.696 0.138 0.250 Ge
0.673 0.039 0.542 Ge
```

## Properties
space group = No. 62

Number 1: formation energy from the elements -1.413 eV/atom. Number 2: formation energy from the elements -0.565 eV/atom. Number 3: formation energy from the elements -2.870 eV/atom. Number 4: formation energy from the elements -0.741 eV/atom.